Entry 1:
# TaOF3 (PBE, relaxed)
# DFT formation energy	-3.449	eV per atom
# calculated total energy	-7.544	eV/atom
# E (MP2020)	-7.96	eV/atom
data_TaOF3
_chemical_formula_sum 'Ta2 O2 F6'
_space_group_name_H-M_alt 'I m m m'
_space_group_IT_number 71
_space_group_name_Hall '-I 2 2'
_cell_length_a 3.873
_cell_length_b 4.105
_cell_length_c 8.746
_cell_angle_alpha 90.00
_cell_angle_beta 90.00
_cell_angle_gamma 90.00
loop_
_atom_site_label
_atom_site_fract_x
_atom_site_fract_y
_atom_site_fract_z
Ta1 0.000 0.000 0.000
O1 0.000 0.500 0.500
F1 0.000 0.000 0.218
F2 0.000 0.500 0.000



Entry 2:
# La8Al7BO24 (PBE, relaxed)
# DFT formation energy	-3.578	eV per atom
# calculated total energy	-7.944	eV/atom
# E (MP2020)	-8.36	eV/atom
data_La8Al7BO24
_chemical_formula_sum 'La8 Al7 B1 O24'
_space_group_name_H-M_alt 'P m -3 m'
_space_group_IT_number 221
_space_group_name_Hall '-P 4 2 3'
_cell_length_a 7.575
_cell_length_b 7.575
_cell_length_c 7.575
_cell_angle_alpha 90.00
_cell_angle_beta 90.00
_cell_angle_gamma 90.00
loop_
_atom_site_label
_atom_site_fract_x
_atom_site_fract_y
_atom_site_fract_z
La1 0.247 0.247 0.247
Al1 0.000 0.000 0.500
Al2 0.000 0.500 0.500
Al3 0.500 0.500 0.500
B1 0.000 0.000 0.000
O1 0.000 0.000 0.237
O2 0.000 0.248 0.500
O3 0.249 0.500 0.500



Question: E (MP2020) of number 2 (La8Al7BO24)?
Answer: -8.36 eV/atom



Repeat the first record exactly.
# TaOF3 (PBE, relaxed)
# DFT formation energy	-3.449	eV per atom
# calculated total energy	-7.544	eV/atom
# E (MP2020)	-7.96	eV/atom
data_TaOF3
_chemical_formula_sum 'Ta2 O2 F6'
_space_group_name_H-M_alt 'I m m m'
_space_group_IT_number 71
_space_group_name_Hall '-I 2 2'
_cell_length_a 3.873
_cell_length_b 4.105
_cell_length_c 8.746
_cell_angle_alpha 90.00
_cell_angle_beta 90.00
_cell_angle_gamma 90.00
loop_
_atom_site_label
_atom_site_fract_x
_atom_site_fract_y
_atom_site_fract_z
Ta1 0.000 0.000 0.000
O1 0.000 0.500 0.500
F1 0.000 0.000 0.218
F2 0.000 0.500 0.000



Question: Which of these has the highest E (MP2020)?
Answer: TaOF3